Density functional theory data (GGA+U) for crystalline Li5Mn5Se8O24 at its relaxed geometry.

- energy relative to the elements (meV/atom) = -1741
- raw total energy (eV/cell) = -500.716
- total energy after the MP2020 corrections (Ry/atom) = -0.4816
- symmetry = No. 2
- M_tot (μB/f.u.) = 24.0

The structure in POSCAR format:
```
Li5Mn5Se8O24
1.0
8.503 0.000 0.000
2.985 10.213 0.000
1.898 1.475 13.689
Li Mn Se O
10 10 16 48
Cartesian
5.131 10.771 11.977
3.241 5.610 12.676
10.144 6.078 1.013
7.624 7.251 3.816
8.255 0.917 1.712
8.395 9.980 5.100
6.560 4.898 5.812
6.825 6.791 7.878
4.991 1.709 8.589
5.762 4.438 9.873
7.800 1.124 10.261
9.280 6.194 10.250
7.516 9.115 10.684
4.304 7.944 10.663
5.870 2.574 3.005
5.586 10.564 3.429
4.105 5.494 3.439
9.081 3.745 3.026
10.788 8.353 3.833
2.598 3.336 9.856
6.476 6.160 12.236
5.047 1.996 12.058
8.339 9.692 1.631
6.910 5.528 1.454
9.536 3.429 12.493
10.455 8.868 12.450
2.931 2.820 1.240
3.850 8.259 1.196
4.342 2.691 5.652
5.274 8.117 5.587
8.112 3.571 8.102
9.044 8.998 8.037
9.762 5.478 5.408
8.353 1.248 5.243
5.033 10.440 8.446
3.624 6.210 8.282
7.406 5.533 10.939
9.174 8.031 11.662
4.613 2.646 10.526
6.719 1.491 11.855
6.143 7.817 11.748
7.205 10.702 12.095
4.991 5.426 11.827
11.360 9.612 11.103
9.725 2.186 11.240
10.379 4.700 11.587
8.395 6.263 1.862
6.180 0.986 1.594
7.243 3.871 1.941
11.611 7.612 12.658
6.667 10.198 1.835
2.653 8.682 0.087
8.773 9.042 3.164
10.733 3.006 13.603
4.211 3.658 2.027
5.980 6.156 2.751
1.775 4.076 1.031
3.007 6.989 2.102
3.661 9.502 2.449
2.026 2.076 2.586
6.165 8.876 4.255
4.518 1.450 4.391
5.180 3.957 4.731
6.381 6.862 5.865
2.202 4.801 4.091
3.966 7.283 4.795
7.849 9.430 6.938
7.934 1.927 3.684
5.536 2.258 6.751
1.519 0.781 5.020
7.005 4.826 7.824
9.419 7.076 4.906
10.506 9.973 5.238
8.331 4.624 4.958
8.205 7.731 8.959
8.868 10.238 9.299
7.220 2.812 9.434
5.055 7.064 8.732
2.880 1.715 8.451
3.967 4.612 8.784
11.866 10.907 8.669
5.452 9.761 10.005
9.420 4.405 8.894
11.183 6.888 9.598
```